[1]
Below is RbAlH8N4 after structural relaxation, with properties calculated at the GGA-PBE level.

Cell lengths 9.1231, 9.1231, 4.5485 Å; angles 90.00, 90.00, 90.00 degrees
With the nearest neighbours (Å) after each atom.
Fractional coordinates of all 28 atoms:
Rb (0.2500, 0.2500, 0.1382)  4 N 3.13, 8 H 3.23-3.39
Rb (0.7500, 0.7500, 0.8618)  4 N 3.13, 8 H 3.23-3.39
Al (0.2500, 0.7500, 0.0000)  4 N 1.90
Al (0.7500, 0.2500, 0.0000)  4 N 1.90
H (0.0232, 0.5325, 0.9771)  1 H 0.76
H (0.0325, 0.9768, 0.0229)  1 H 0.76
H (0.1044, 0.8482, 0.5793)  1 N 1.04
H (0.1518, 0.6044, 0.4207)  1 N 1.04
H (0.3482, 0.8956, 0.4207)  1 N 1.04
H (0.3956, 0.6518, 0.5793)  1 N 1.04
H (0.4675, 0.5232, 0.0229)  1 H 0.76
H (0.4768, 0.9675, 0.9771)  1 H 0.76
H (0.5232, 0.0325, 0.0229)  1 H 0.76
H (0.5325, 0.4768, 0.9771)  1 H 0.76
H (0.6044, 0.3482, 0.4207)  1 N 1.04
H (0.6518, 0.1044, 0.5793)  1 N 1.04
H (0.8482, 0.3956, 0.5793)  1 N 1.04
H (0.8956, 0.1518, 0.4207)  1 N 1.04
H (0.9675, 0.0232, 0.9771)  1 H 0.76
H (0.9768, 0.4675, 0.0229)  1 H 0.76
N (0.0876, 0.7704, 0.7432)  1 H 1.04
N (0.2296, 0.5876, 0.2568)  1 H 1.04
N (0.2704, 0.9124, 0.2568)  1 H 1.04
N (0.4124, 0.7296, 0.7432)  1 H 1.04
N (0.5876, 0.2704, 0.2568)  1 H 1.04
N (0.7296, 0.0876, 0.7432)  1 H 1.04
N (0.7704, 0.4124, 0.7432)  1 H 1.04
N (0.9124, 0.2296, 0.2568)  1 H 1.04

Values from the calculation:
Its total energy is -4.4148 eV/atom. Its density is 1.5 g/cm3. Its crystal system is tetragonal.


[2]
Below is Rb2CeAgBr6 after structural relaxation, with properties calculated at the GGA-PBE level.

Cell lengths 8.1442, 8.1442, 8.1442 Å; angles 60.00, 60.00, 60.00 degrees
With the nearest neighbours (Å) after each atom.
Fractional coordinates of all 10 atoms:
Rb (0.2500, 0.2500, 0.2500)  12 Br 4.07
Rb (0.7500, 0.7500, 0.7500)  12 Br 4.07
Ce (0.0000, 0.0000, 0.0000)  6 Br 2.89
Ag (0.5000, 0.5000, 0.5000)  6 Br 2.87
Br (0.2512, 0.2512, 0.7488)  1 Ag 2.87, 1 Ce 2.89
Br (0.2512, 0.7488, 0.2512)  1 Ag 2.87, 1 Ce 2.89
Br (0.2512, 0.7488, 0.7488)  1 Ag 2.87, 1 Ce 2.89
Br (0.7488, 0.2512, 0.2512)  1 Ag 2.87, 1 Ce 2.89
Br (0.7488, 0.2512, 0.7488)  1 Ag 2.87, 1 Ce 2.89
Br (0.7488, 0.7488, 0.2512)  1 Ag 2.87, 1 Ce 2.89

Values from the calculation:
Its total energy is -3.5780 eV/atom. For the total magnetization, the calculation gives 1.00 μB/cell. Its density is 3.9 g/cm3. Its crystal system is cubic.


[3]
Below is Cs2MgSn3Se8 after structural relaxation, with properties calculated at the GGA-PBE level.

Cell lengths 8.2028, 13.7787, 18.8581 Å; angles 90.00, 90.00, 90.00 degrees
With the nearest neighbours (Å) after each atom.
Fractional coordinates of all 56 atoms:
Cs (0.2444, 0.1901, 0.1570)  6 Se 3.79-4.08
Cs (0.2490, 0.8667, 0.0534)  7 Se 3.81-4.20
Cs (0.2510, 0.1333, 0.5534)  7 Se 3.81-4.20
Cs (0.2556, 0.8099, 0.6570)  6 Se 3.79-4.08
Cs (0.7444, 0.3099, 0.8430)  6 Se 3.79-4.08
Cs (0.7490, 0.6333, 0.9466)  7 Se 3.81-4.20
Cs (0.7510, 0.3667, 0.4466)  7 Se 3.81-4.20
Cs (0.7556, 0.6901, 0.3430)  6 Se 3.79-4.08
Mg (0.0143, 0.9983, 0.3474)  4 Se 2.60-2.63
Mg (0.4857, 0.0017, 0.8474)  4 Se 2.60-2.63
Mg (0.5143, 0.5017, 0.6526)  4 Se 2.60-2.63
Mg (0.9857, 0.4983, 0.1526)  4 Se 2.60-2.63
Sn (0.0114, 0.4828, 0.6519)  4 Se 2.52-2.62
Sn (0.2320, 0.4373, 0.9847)  4 Se 2.50-2.60
Sn (0.2363, 0.4531, 0.3201)  4 Se 2.50-2.62
Sn (0.2637, 0.5469, 0.8201)  4 Se 2.50-2.62
Sn (0.2680, 0.5627, 0.4847)  4 Se 2.50-2.60
Sn (0.4886, 0.5172, 0.1519)  4 Se 2.52-2.62
Sn (0.5114, 0.0172, 0.3481)  4 Se 2.52-2.62
Sn (0.7320, 0.0627, 0.0153)  4 Se 2.50-2.60
Sn (0.7363, 0.0469, 0.6799)  4 Se 2.50-2.62
Sn (0.7637, 0.9531, 0.1799)  4 Se 2.50-2.62
Sn (0.7680, 0.9373, 0.5153)  4 Se 2.50-2.60
Sn (0.9886, 0.9828, 0.8481)  4 Se 2.52-2.62
Se (0.0002, 0.1087, 0.9520)  2 Sn 2.58-2.62
Se (0.9998, 0.6087, 0.5480)  2 Sn 2.58-2.62
Se (0.0041, 0.1005, 0.7395)  2 Sn 2.58-2.62
Se (0.0192, 0.8889, 0.2348)  1 Sn 2.50, 1 Mg 2.60
Se (0.0248, 0.8818, 0.4563)  1 Sn 2.50, 1 Mg 2.61
Se (0.2318, 0.6180, 0.1559)  1 Sn 2.52, 1 Mg 2.61
Se (0.2377, 0.6186, 0.9483)  2 Sn 2.59-2.62
Se (0.2410, 0.8791, 0.8517)  1 Sn 2.52, 1 Mg 2.63
Se (0.2430, 0.6339, 0.3573)  2 Sn 2.59-2.60
Se (0.2570, 0.3661, 0.8573)  2 Sn 2.59-2.60
Se (0.2590, 0.1209, 0.3517)  1 Sn 2.52, 1 Mg 2.63
Se (0.2623, 0.3814, 0.4483)  2 Sn 2.59-2.62
Se (0.2682, 0.3820, 0.6559)  1 Sn 2.52, 1 Mg 2.61
Se (0.4752, 0.1182, 0.9563)  1 Sn 2.50, 1 Mg 2.61
Se (0.4808, 0.1111, 0.7348)  1 Sn 2.50, 1 Mg 2.60
Se (0.4959, 0.8995, 0.2395)  2 Sn 2.58-2.62
Se (0.5002, 0.3913, 0.0480)  2 Sn 2.58-2.62
Se (0.4998, 0.8913, 0.4520)  2 Sn 2.58-2.62
Se (0.5041, 0.3995, 0.2605)  2 Sn 2.58-2.62
Se (0.5192, 0.6111, 0.7652)  1 Sn 2.50, 1 Mg 2.60
Se (0.5248, 0.6182, 0.5437)  1 Sn 2.50, 1 Mg 2.61
Se (0.7318, 0.8820, 0.8441)  1 Sn 2.52, 1 Mg 2.61
Se (0.7377, 0.8814, 0.0517)  2 Sn 2.59-2.62
Se (0.7410, 0.6209, 0.1483)  1 Sn 2.52, 1 Mg 2.63
Se (0.7430, 0.8661, 0.6427)  2 Sn 2.59-2.60
Se (0.7570, 0.1339, 0.1427)  2 Sn 2.59-2.60
Se (0.7590, 0.3791, 0.6483)  1 Sn 2.52, 1 Mg 2.63
Se (0.7623, 0.1186, 0.5517)  2 Sn 2.59-2.62
Se (0.7682, 0.1180, 0.3441)  1 Sn 2.52, 1 Mg 2.61
Se (0.9752, 0.3818, 0.0437)  1 Sn 2.50, 1 Mg 2.61
Se (0.9808, 0.3889, 0.2652)  1 Sn 2.50, 1 Mg 2.60
Se (0.9959, 0.6005, 0.7605)  2 Sn 2.58-2.62

Values from the calculation:
Its total energy is -3.8467 eV/atom. For the total magnetization, the calculation gives 0.03 μB/cell. Its density is 4.0 g/cm3. Its crystal system is orthorhombic.


[4]
Below is DyAl7Au3 after structural relaxation, with properties calculated at the GGA-PBE level.

Cell lengths 8.4583, 8.4583, 8.4583 Å; angles 57.22, 57.22, 57.22 degrees
With the nearest neighbours (Å) after each atom.
Fractional coordinates of all 22 atoms:
Dy (0.0000, 0.0000, 0.0000)  6 Au 3.26, 12 Al 3.32-3.37
Dy (0.5000, 0.5000, 0.5000)  6 Au 3.26, 12 Al 3.32-3.37
Al (0.0698, 0.8528, 0.6672)  3 Au 2.59-2.67, 5 Al 2.83-2.90
Al (0.1472, 0.3328, 0.9302)  3 Au 2.59-2.67, 5 Al 2.83-2.90
Al (0.1672, 0.3528, 0.5698)  3 Au 2.59-2.67, 5 Al 2.83-2.90
Al (0.2500, 0.2500, 0.2500)  3 Au 2.62, 6 Al 2.90
Al (0.3328, 0.9302, 0.1472)  3 Au 2.59-2.67, 5 Al 2.83-2.90
Al (0.3528, 0.5698, 0.1672)  3 Au 2.59-2.67, 5 Al 2.83-2.90
Al (0.4302, 0.8328, 0.6472)  3 Au 2.59-2.67, 5 Al 2.83-2.90
Al (0.5698, 0.1672, 0.3528)  3 Au 2.59-2.67, 5 Al 2.83-2.90
Al (0.6472, 0.4302, 0.8328)  3 Au 2.59-2.67, 5 Al 2.83-2.90
Al (0.6672, 0.0698, 0.8528)  3 Au 2.59-2.67, 5 Al 2.83-2.90
Al (0.7500, 0.7500, 0.7500)  3 Au 2.62, 6 Al 2.90
Al (0.8328, 0.6472, 0.4302)  3 Au 2.59-2.67, 5 Al 2.83-2.90
Al (0.8528, 0.6672, 0.0698)  3 Au 2.59-2.67, 5 Al 2.83-2.90
Al (0.9302, 0.1472, 0.3328)  3 Au 2.59-2.67, 5 Al 2.83-2.90
Au (0.0738, 0.7500, 0.4262)  7 Al 2.59-2.67
Au (0.2500, 0.5738, 0.9262)  7 Al 2.59-2.67
Au (0.4262, 0.0738, 0.7500)  7 Al 2.59-2.67
Au (0.5738, 0.9262, 0.2500)  7 Al 2.59-2.67
Au (0.7500, 0.4262, 0.0738)  7 Al 2.59-2.67
Au (0.9262, 0.2500, 0.5738)  7 Al 2.59-2.67

Values from the calculation:
Its total energy is -4.2061 eV/atom. Its density is 7.8 g/cm3. Its crystal system is trigonal.


[5]
Below is TbIn5Co after structural relaxation, with properties calculated at the GGA-PBE level.

Cell lengths 4.5919, 4.5919, 7.5057 Å; angles 90.00, 90.00, 90.00 degrees
With the nearest neighbours (Å) after each atom.
Fractional coordinates of all 7 atoms:
Tb (0.0000, 0.0000, 0.0000)  12 In 3.25
In (0.0000, 0.5000, 0.3068)  2 Co 2.72, 1 In 2.90
In (0.0000, 0.5000, 0.6932)  2 Co 2.72, 1 In 2.90
In (0.5000, 0.0000, 0.3068)  2 Co 2.72, 1 In 2.90
In (0.5000, 0.0000, 0.6932)  2 Co 2.72, 1 In 2.90
In (0.5000, 0.5000, 0.0000)  4 Tb 3.25, 8 In 3.25
Co (0.0000, 0.0000, 0.5000)  8 In 2.72

Values from the calculation:
Its total energy is -3.8840 eV/atom. Its density is 8.3 g/cm3. Its crystal system is tetragonal.


[6]
Below is Te6MoW3Se2 after structural relaxation, with properties calculated at the GGA-PBE level.

Cell lengths 3.4978, 3.4978, 39.6524 Å; angles 90.00, 90.00, 120.00 degrees
With the nearest neighbours (Å) after each atom.
Fractional coordinates of all 12 atoms:
Te (0.0000, 0.0000, 0.0000)  3 Mo 2.73
Te (0.0000, 0.0000, 0.0924)  3 Mo 2.73
Te (0.6667, 0.3333, 0.1876)  3 W 2.73
Te (0.6667, 0.3333, 0.2805)  3 W 2.73
Te (0.6667, 0.3333, 0.5633)  3 W 2.73
Te (0.6667, 0.3333, 0.6562)  3 W 2.73
Mo (0.6667, 0.3333, 0.0462)  6 Te 2.73
W (0.0000, 0.0000, 0.2341)  6 Te 2.73
W (0.0000, 0.0000, 0.6098)  6 Te 2.73
W (0.6667, 0.3333, 0.4219)  6 Se 2.59
Se (0.0000, 0.0000, 0.3810)  3 W 2.59
Se (0.0000, 0.0000, 0.4629)  3 W 2.59

Values from the calculation:
Its total energy is -6.5236 eV/atom. For the total magnetization, the calculation gives 0.00 μB/cell. Its density is 6.2 g/cm3. Its crystal system is trigonal.